A relaxed Sc13Os3Br16 crystal, computed with PBE.

Cell lengths 10.759, 19.323, 9.027 Å; angles 90.00, 90.00, 90.00 degrees
Space group Pnnm (No. 58)
Inequivalent atoms, fractional coordinates:
Sc (0.000, 0.000, 0.000)
Sc (0.053, 0.382, 0.000)
Sc (0.104, 0.603, 0.321)
Sc (0.178, 0.440, 0.318)
Sc (0.202, 0.529, 0.000)
Os (0.000, 0.500, 0.163)
Os (0.000, 0.500, 0.500)
Br (0.090, 0.306, 0.265)
Br (0.131, 0.881, 0.000)
Br (0.141, 0.051, 0.226)
Br (0.187, 0.901, 0.500)
Br (0.189, 0.672, 0.000)
Br (0.211, 0.698, 0.500)

As for the MP2020-corrected energy: -6.05 eV/atom. The calculation puts the total magnetization at 0.59 μB/cell. The value obtained for the formation energy is -1.604 eV/atom.


A relaxed TlAgTeO3 crystal, computed with PBE.

Cell lengths 11.312, 15.316, 5.274 Å; angles 90.00, 90.00, 90.00 degrees
Space group Iba2 (No. 45)
Inequivalent atoms, fractional coordinates:
Tl (0.124, 0.094, 0.000)
Ag (0.117, 0.245, 0.513)
Te (0.135, 0.393, 0.029)
O (0.111, 0.271, 0.985)
O (0.140, 0.396, 0.391)
O (0.199, 0.105, 0.469)

As for the MP2020-corrected energy: -4.95 eV/atom. The calculation puts the total magnetization at 0.01 μB/cell. The value obtained for the formation energy is -1.089 eV/atom.


A relaxed Hg crystal, computed with PBE.

Cell lengths 6.074, 6.483, 6.247 Å; angles 90.00, 113.49, 90.00 degrees
Space group P2_1/c (No. 14)
Inequivalent atoms, fractional coordinates:
Hg (0.000, 0.000, 0.000)
Hg (0.417, 0.143, 0.760)

The calculation puts the total magnetization at 0.00 μB/cell. The energy above the most stable polymorph in this dataset is 18 meV/atom. The value obtained for the formation energy is 0.018 eV/atom.